Record 1
Density functional theory data (r2SCAN) for a relaxed structure of TmSbIr.

The calculation puts the formation energy at -1009 meV per atom. The total magnetization comes out at 0.00 μB per cell. The energy is -38.738 eV/atom.

The space group is Pnma (No. 62) and the conventional cell measures 7.073, 4.475 and 7.826 Å, with angles of 90.00, 90.00 and 90.00 degrees. Symmetry generates all atoms from Tm at (0.011, 0.250, 0.193), Sb at (0.178, 0.250, 0.589) and Ir at (0.211, 0.750, 0.413).

Record 2
Density functional theory data (r2SCAN) for a relaxed structure of Cs3Bi2I9.

The calculation puts the formation energy at -1114 meV per atom. The total magnetization comes out at 0.00 μB per cell. The energy is -30.639 eV/atom.

The space group is C2/c (No. 15) and the conventional cell measures 8.515, 14.767 and 21.700 Å, with angles of 90.00, 92.64 and 90.00 degrees. Symmetry generates all atoms from Cs at (0.000, 0.004, 0.250), Cs at (0.005, 0.332, 0.575), Bi at (0.010, 0.335, 0.156), I at (0.000, 0.495, 0.750), I at (0.020, 0.165, 0.083), I at (0.228, 0.081, 0.911), I at (0.236, 0.417, 0.427) and I at (0.244, 0.250, 0.740).

Record 3
Density functional theory data (r2SCAN) for a relaxed structure of Ho2MgS4.

The calculation puts the formation energy at -2155 meV per atom. Its polymorph energy (0 for the lowest one) is 19.3 meV per atom. The total magnetization comes out at 0.00 μB per cell. The energy is -16.736 eV/atom.

The space group is Pnma (No. 62) and the conventional cell measures 13.362, 7.827 and 6.488 Å, with angles of 90.00, 90.00 and 90.00 degrees. Symmetry generates all atoms from Ho at (0.000, 0.000, 0.000), Ho at (0.231, 0.250, 0.491), Mg at (0.097, 0.750, 0.420), S at (0.070, 0.250, 0.744), S at (0.090, 0.750, 0.787) and S at (0.171, 0.508, 0.235).

Record 4
Density functional theory data (r2SCAN) for a relaxed structure of TiPd3.

The calculation puts the formation energy at -649 meV per atom. The total magnetization comes out at 0.00 μB per cell. The energy is -21.104 eV/atom.

The space group is Pm-3m (No. 221) and the conventional cell measures 3.898, 3.898 and 3.898 Å, with angles of 90.00, 90.00 and 90.00 degrees. Symmetry generates all atoms from Ti at (0.000, 0.000, 0.000) and Pd at (0.000, 0.500, 0.500).

Record 5
Density functional theory data (r2SCAN) for a relaxed structure of Yb2InGa.

The calculation puts the formation energy at -552 meV per atom. The total magnetization comes out at 0.00 μB per cell. The energy is -27.322 eV/atom.

The space group is Fm-3m (No. 225) and the conventional cell measures 7.188, 7.188 and 7.188 Å, with angles of 90.00, 90.00 and 90.00 degrees. Symmetry generates all atoms from Yb at (0.250, 0.250, 0.250), In at (0.000, 0.000, 0.000) and Ga at (0.000, 0.000, 0.500).

Record 6
Density functional theory data (r2SCAN) for a relaxed structure of Rb2Cr2O7.

The calculation puts the formation energy at -2006 meV per atom. Its polymorph energy (0 for the lowest one) is 4.5 meV per atom. The total magnetization comes out at 0.00 μB per cell. The energy is -11.080 eV/atom.

The space group is P-1 (No. 2) and the conventional cell measures 7.391, 7.566 and 7.818 Å, with angles of 109.79, 91.26 and 108.68 degrees. Symmetry generates all atoms from Rb at (0.115, 0.009, 0.253), Rb at (0.311, 0.589, 0.747), Cr at (0.200, 0.522, 0.245), Cr at (0.419, 0.124, 0.776), O at (0.034, 0.338, 0.089), O at (0.101, 0.665, 0.382), O at (0.265, 0.159, 0.651), O at (0.311, 0.435, 0.359), O at (0.326, 0.085, 0.951), O at (0.369, 0.659, 0.137) and O at (0.478, 0.936, 0.659).

Record 7
Density functional theory data (r2SCAN) for a relaxed structure of CeNiSb2.

The calculation puts the formation energy at -784 meV per atom. The total magnetization comes out at 1.61 μB per cell. The energy is -24.343 eV/atom.

The space group is P4/nmm (No. 129, origin choice 2) and the conventional cell measures 4.389, 4.389 and 9.691 Å, with angles of 90.00, 90.00 and 90.00 degrees. Symmetry generates all atoms from Ce at (0.250, 0.250, 0.238), Ni at (0.250, 0.750, 0.000), Sb at (0.250, 0.250, 0.866) and Sb at (0.250, 0.750, 0.500).

Record 8
Density functional theory data (r2SCAN) for a relaxed structure of K4UO5.

The calculation puts the formation energy at -2505 meV per atom. The total magnetization comes out at 0.00 μB per cell. The energy is -15.893 eV/atom.

The space group is P-1 (No. 2) and the conventional cell measures 6.450, 6.474 and 9.711 Å, with angles of 108.89, 101.46 and 102.29 degrees. Symmetry generates all atoms from K at (0.000, 0.000, 0.000), K at (0.001, 0.199, 0.403), K at (0.481, 0.195, 0.903), K at (0.496, 0.611, 0.698), K at (0.500, 0.000, 0.500), U at (0.006, 0.595, 0.196), O at (0.181, 0.431, 0.035), O at (0.197, 0.254, 0.693), O at (0.198, 0.715, 0.841), O at (0.207, 0.908, 0.236) and O at (0.211, 0.593, 0.390).

Record 9
Density functional theory data (r2SCAN) for a relaxed structure of LiI.

The calculation puts the formation energy at -1375 meV per atom. Its polymorph energy (0 for the lowest one) is 28.9 meV per atom. The total magnetization comes out at 0.00 μB per cell. The energy is -14.848 eV/atom.

The space group is P6_3/mmc (No. 194) and the conventional cell measures 4.2146, 4.2146 and 6.9587 Å, with angles of 90.00, 90.00 and 120.00 degrees. Symmetry generates all atoms from Li at (0.0000, 0.0000, 0.0000) and I at (0.3333, 0.6667, 0.2500).

Record 10
Density functional theory data (r2SCAN) for a relaxed structure of Ho3Os.

The calculation puts the formation energy at -334 meV per atom. The total magnetization comes out at 0.00 μB per cell. The energy is -38.241 eV/atom.

The space group is Pnma (No. 62) and the conventional cell measures 7.342, 8.957 and 6.291 Å, with angles of 90.00, 90.00 and 90.00 degrees. Symmetry generates all atoms from Ho at (0.041, 0.250, 0.127), Ho at (0.173, 0.063, 0.669) and Os at (0.116, 0.750, 0.465).

Record 11
Density functional theory data (r2SCAN) for a relaxed structure of YAl3Ni.

The calculation puts the formation energy at -634 meV per atom. The total magnetization comes out at 0.00 μB per cell. The energy is -11.132 eV/atom.

The space group is Pnma (No. 62) and the conventional cell measures 8.110, 4.027 and 10.608 Å, with angles of 90.00, 90.00 and 90.00 degrees. Symmetry generates all atoms from Y at (0.187, 0.250, 0.009), Al at (0.054, 0.250, 0.583), Al at (0.115, 0.750, 0.784), Al at (0.143, 0.750, 0.223) and Ni at (0.107, 0.250, 0.357).

Record 12
Density functional theory data (r2SCAN) for a relaxed structure of SmCoGe3.

The calculation puts the formation energy at -527 meV per atom. The total magnetization comes out at 0.00 μB per cell. The energy is -17.444 eV/atom.

The space group is I4mm (No. 107) and the conventional cell measures 4.265, 4.265 and 9.763 Å, with angles of 90.00, 90.00 and 90.00 degrees. Symmetry generates all atoms from Sm at (0.000, 0.000, 0.000), Co at (0.000, 0.000, 0.667), Ge at (0.000, 0.000, 0.437) and Ge at (0.000, 0.500, 0.260).

Number 10 is which compound? Ho3Os